# Ag5CF4

An optimized crystal structure of Ag5CF4 (PBE, the Materials Project database).

```
Ag5CF4
1.0
7.5402 0.0000 0.0000
0.0000 7.5402 0.0000
0.0000 0.0000 10.6333
Ag C F
20 4 16
Cartesian
0.0000 3.7701 0.0318 Ag
0.0000 3.7701 3.1691 Ag
0.7697 1.7382 6.6135 Ag
0.8186 6.0176 8.9787 Ag
1.5226 0.8186 1.6546 Ag
1.7382 6.7706 4.0198 Ag
1.9910 4.4769 6.6333 Ag
2.2467 2.8480 9.0152 Ag
2.8480 5.2936 1.6181 Ag
3.0633 1.9910 4.0000 Ag
3.7701 0.0000 7.4642 Ag
3.7701 0.0000 10.6015 Ag
4.4769 5.5492 4.0000 Ag
4.6922 2.2467 1.6181 Ag
5.2936 4.6922 9.0152 Ag
5.5492 3.0633 6.6333 Ag
5.8020 0.7697 4.0198 Ag
6.0176 6.7216 1.6546 Ag
6.7216 1.5226 8.9787 Ag
6.7706 5.8020 6.6135 Ag
0.2889 3.1786 8.1371 C
3.1786 7.2514 2.4962 C
4.3616 0.2889 2.4962 C
7.2514 4.3616 8.1371 C
0.4318 5.8517 1.1051 F
0.4690 1.5848 4.3052 F
1.5848 7.0712 6.3281 F
1.6885 0.4318 9.5282 F
2.1783 4.1859 4.2332 F
2.2160 3.2120 1.0866 F
3.2120 5.3242 9.5467 F
3.3544 2.1783 6.4001 F
4.1859 5.3619 6.4001 F
4.3282 2.2160 9.5467 F
5.3242 4.3282 1.0866 F
5.3619 3.3544 4.2332 F
5.8517 7.1084 9.5282 F
5.9555 0.4690 6.3281 F
7.0712 5.9555 4.3052 F
7.1084 1.6885 1.1051 F
```

energy relative to the elements	-0.842	eV per atom
volume	605	Å³/cell
space group	P-4 (81)


# Cs2Bi8Se13

An optimized crystal structure of Cs2Bi8Se13 (PBE, the Materials Project database).

```
Cs2Bi8Se13
1.0
14.1473 0.0000 0.0000
0.0000 4.2260 0.0000
-3.0831 0.0000 25.2001
Cs Bi Se
4 16 26
Cartesian
0.8479 1.0565 3.0294 Cs
2.0776 3.1695 9.0869 Cs
8.9866 1.0565 16.1131 Cs
10.2163 3.1695 22.1707 Cs
-1.3441 3.1695 18.4569 Bi
-0.7101 1.0565 14.1920 Bi
0.1991 3.1695 24.3885 Bi
1.7377 1.0565 20.9330 Bi
3.2061 3.1695 17.4218 Bi
4.8613 3.1695 5.3512 Bi
4.6052 1.0565 14.0788 Bi
6.2355 1.0565 1.7350 Bi
4.8287 3.1695 23.4651 Bi
6.4590 3.1695 11.1213 Bi
6.2028 1.0565 19.8489 Bi
7.8581 1.0565 7.7783 Bi
9.3265 3.1695 4.2671 Bi
10.8650 1.0565 0.8116 Bi
11.7742 3.1695 11.0080 Bi
12.4083 1.0565 6.7431 Bi
-1.0078 1.0565 9.3977 Se
-0.0206 3.1695 6.0602 Se
-1.6209 1.0565 24.6507 Se
0.0414 3.1695 12.2827 Se
-0.1678 3.1695 21.5330 Se
1.1381 1.0565 18.1621 Se
3.1233 1.0565 5.9199 Se
2.5653 3.1695 14.7115 Se
4.2707 3.1695 2.1986 Se
2.6646 1.0565 23.9871 Se
4.3622 1.0565 11.2976 Se
3.9046 3.1695 20.6346 Se
5.8518 3.1695 8.0517 Se
5.2123 1.0565 17.1484 Se
7.1595 1.0565 4.5655 Se
6.7020 3.1695 13.9025 Se
8.3995 3.1695 1.2130 Se
6.7934 1.0565 23.0015 Se
8.4988 1.0565 10.4886 Se
7.9409 3.1695 19.2802 Se
9.9261 3.1695 7.0380 Se
11.2320 1.0565 3.6671 Se
11.0227 1.0565 12.9174 Se
12.6850 3.1695 0.5494 Se
11.0847 1.0565 19.1399 Se
12.0719 3.1695 15.8023 Se
```

energy relative to the elements	-0.797	eV per atom
volume	1507	Å³/cell
space group	P2_1/m (11)


# PrEuZn2

An optimized crystal structure of PrEuZn2 (PBE, the Materials Project database).

```
PrEuZn2
1.0
0.0000 3.7112 3.7112
3.7112 0.0000 3.7112
3.7112 3.7112 0.0000
Pr Eu Zn
1 1 2
Cartesian
0.0000 0.0000 0.0000 Pr
3.7112 3.7112 3.7112 Eu
1.8556 1.8556 1.8556 Zn
5.5669 5.5669 5.5669 Zn
```

energy relative to the elements	-0.285	eV per atom
volume	102	Å³/cell
space group	Fm-3m (225)